(1)
Here is crystalline Cs3NdP2S8 at its relaxed geometry from the Materials Project. Energies are from PBE-GGA.

CIF file:
```
data_Cs3NdP2S8
_chemical_formula_sum 'Cs12 Nd4 P8 S32'
_space_group_name_H-M_alt 'P 1 21/c 1'
_space_group_IT_number 14
_space_group_name_Hall '-P 2ybc'
_cell_length_a 15.700
_cell_length_b 7.043
_cell_length_c 20.389
_cell_angle_alpha 90.00
_cell_angle_beta 129.94
_cell_angle_gamma 90.00
loop_
_atom_site_label
_atom_site_type_symbol
_atom_site_fract_x
_atom_site_fract_y
_atom_site_fract_z
Cs1 Cs 0.066 0.248 0.113
Cs2 Cs 0.155 0.242 0.378
Cs3 Cs 0.416 0.745 0.526
Nd1 Nd 0.352 0.731 0.730
P1 P 0.194 0.746 0.277
P2 P 0.347 0.226 0.130
S1 S 0.096 0.750 0.146
S2 S 0.115 0.740 0.325
S3 S 0.242 0.504 0.573
S4 S 0.254 0.033 0.597
S5 S 0.293 0.514 0.817
S6 S 0.297 0.514 0.314
S7 S 0.442 0.249 0.594
S8 S 0.456 0.164 0.259
```

* calculated total energy: -4.75 eV per atom
* energy of formation: -1.3729 eV per atom
* total moment: 0.0 μB/f.u.

***

(2)
Here is crystalline CsNdTe4 at its relaxed geometry from the Materials Project. Energies are from PBE-GGA.

CIF file:
```
data_CsNdTe4
_chemical_formula_sum 'Cs2 Nd2 Te8'
_space_group_name_H-M_alt 'P 4/m m m'
_space_group_IT_number 123
_space_group_name_Hall '-P 4 2'
_cell_length_a 8.098
_cell_length_b 8.098
_cell_length_c 12.353
_cell_angle_alpha 90.00
_cell_angle_beta 90.00
_cell_angle_gamma 90.00
loop_
_atom_site_label
_atom_site_type_symbol
_atom_site_fract_x
_atom_site_fract_y
_atom_site_fract_z
Cs1 Cs 0.000 0.500 0.000
Nd1 Nd 0.000 0.500 0.500
Te1 Te 0.000 0.314 0.285
```

* calculated total energy: -3.42 eV per atom
* energy of formation: -0.6584 eV per atom
* total moment: 0.0 μB/f.u.

***

(3)
Here is crystalline CsNdTe2 at its relaxed geometry from the Materials Project. Energies are from PBE-GGA.

CIF file:
```
data_CsNdTe2
_chemical_formula_sum 'Cs3 Nd3 Te6'
_space_group_name_H-M_alt 'R -3 m'
_space_group_IT_number 166
_space_group_name_Hall '-R 3 2"'
_cell_length_a 4.6833
_cell_length_b 4.6833
_cell_length_c 26.8586
_cell_angle_alpha 90.00
_cell_angle_beta 90.00
_cell_angle_gamma 120.00
loop_
_atom_site_label
_atom_site_type_symbol
_atom_site_fract_x
_atom_site_fract_y
_atom_site_fract_z
Cs1 Cs 0.0000 0.0000 0.0000
Nd1 Nd 0.0000 0.0000 0.5000
Te1 Te 0.0000 0.0000 0.2316
```

* calculated total energy: -4.39 eV per atom
* energy of formation: -1.6141 eV per atom

***

(4)
Here is crystalline Cs3Ni at its relaxed geometry from the Materials Project. Energies are from PBE-GGA.

CIF file:
```
data_Cs3Ni
_chemical_formula_sum 'Cs6 Ni2'
_space_group_name_H-M_alt 'I 4/m m m'
_space_group_IT_number 139
_space_group_name_Hall '-I 4 2'
_cell_length_a 6.436
_cell_length_b 6.436
_cell_length_c 12.112
_cell_angle_alpha 90.00
_cell_angle_beta 90.00
_cell_angle_gamma 90.00
loop_
_atom_site_label
_atom_site_type_symbol
_atom_site_fract_x
_atom_site_fract_y
_atom_site_fract_z
Cs1 Cs 0.000 0.000 0.000
Cs2 Cs 0.000 0.500 0.250
Ni1 Ni 0.000 0.000 0.500
```

* calculated total energy: -1.42 eV per atom
* energy of formation: 0.7010 eV per atom
* total moment: 0.5 μB/f.u.

***

The highest calculated total energy belongs to which entry?
Cs3Ni

***

What did the third record say?
Here is crystalline CsNdTe2 at its relaxed geometry from the Materials Project. Energies are from PBE-GGA.

CIF file:
```
data_CsNdTe2
_chemical_formula_sum 'Cs3 Nd3 Te6'
_space_group_name_H-M_alt 'R -3 m'
_space_group_IT_number 166
_space_group_name_Hall '-R 3 2"'
_cell_length_a 4.6833
_cell_length_b 4.6833
_cell_length_c 26.8586
_cell_angle_alpha 90.00
_cell_angle_beta 90.00
_cell_angle_gamma 120.00
loop_
_atom_site_label
_atom_site_type_symbol
_atom_site_fract_x
_atom_site_fract_y
_atom_site_fract_z
Cs1 Cs 0.0000 0.0000 0.0000
Nd1 Nd 0.0000 0.0000 0.5000
Te1 Te 0.0000 0.0000 0.2316
```

* calculated total energy: -4.39 eV per atom
* energy of formation: -1.6141 eV per atom

***

Look up the calculated total energy of the second one.
-3.42 eV per atom